A) Li2Fe3TeO8 | PBE+U | optimized geometry

Volume: 11.6 A^3/atom
Symmetry: P1, No. 1

Cell and atoms, written as POSCAR:
```
Li2Fe3TeO8
1.0
-4.2536 -4.1303 1.2694
-0.4615 -4.9770 -3.5652
5.3955 -2.9880 8.5064
O Li Fe Te
16 4 6 2
direct
0.0848 0.8064 0.6376 O
0.8587 0.2698 0.8631 O
0.1331 0.7358 0.1374 O
0.8514 0.7459 0.8694 O
0.4119 0.1949 0.8703 O
0.5939 0.2587 0.1356 O
0.9110 0.7248 0.3543 O
0.3709 0.2584 0.3580 O
0.0821 0.2800 0.6396 O
0.3642 0.7292 0.3561 O
0.9075 0.1871 0.3554 O
0.1514 0.2550 0.1333 O
0.4154 0.7351 0.8711 O
0.5948 0.8129 0.1373 O
0.6363 0.7371 0.6418 O
0.6307 0.2729 0.6422 O
0.2129 0.5821 0.9254 Li
0.7097 0.5840 0.4338 Li
0.7907 0.4147 0.0652 Li
0.2839 0.4221 0.5779 Li
0.2494 0.9990 0.2497 Fe
0.9995 0.0011 0.5028 Fe
0.2476 0.0033 0.7501 Fe
0.5016 0.9968 0.9948 Fe
0.7525 0.9955 0.2501 Fe
0.7525 0.9996 0.7486 Fe
0.2532 0.4973 0.2477 Te
0.7486 0.5005 0.7512 Te
```

=====

B) Li2Fe3TeO8 | PBE+U | optimized geometry

Volume: 11.6 A^3/atom
Symmetry: P-1, No. 2

Cell and atoms, written as POSCAR:
```
Li2Fe3TeO8
1.0
-0.0008 -3.5084 4.9679
6.1345 0.0809 0.0561
0.1378 7.0950 5.0239
Li O Te Fe
4 16 2 6
direct
0.4999 0.7762 0.6417 Li
0.0001 0.7238 0.8584 Li
0.5004 0.2232 0.3582 Li
0.9996 0.2768 0.1418 Li
0.7296 0.7348 0.0064 O
0.9916 0.4643 0.7258 O
0.5123 0.4936 0.7747 O
0.7298 0.2642 0.9930 O
0.2843 0.2664 0.0036 O
0.5098 0.9628 0.2264 O
0.2157 0.2335 0.4964 O
0.2845 0.7327 0.9972 O
0.9877 0.0064 0.7253 O
0.7702 0.2357 0.5070 O
0.7704 0.7652 0.4936 O
0.2155 0.7673 0.5028 O
0.9902 0.5373 0.2736 O
0.5086 0.0357 0.7742 O
0.5121 0.5050 0.2254 O
0.9879 0.9950 0.2746 O
0.9945 0.0008 0.4997 Te
0.5055 0.4992 0.0003 Te
0.2500 0.2500 0.7499 Fe
0.2499 0.7500 0.2500 Fe
0.0028 0.5010 0.5004 Fe
0.4972 0.9991 0.9995 Fe
0.7501 0.7501 0.2499 Fe
0.7500 0.2500 0.7500 Fe
```

=====

C) Li2Fe3TeO8 | PBE+U | optimized geometry

Volume: 11.6 A^3/atom
Symmetry: C2/m, No. 12

Cell and atoms, written as POSCAR:
```
Li2Fe3TeO8
1.0
-3.0061 5.3378 -0.8476
-4.3177 0.6110 -4.3877
-5.9961 0.5968 1.4192
O Li Te Fe
8 2 1 3
direct
0.2690 0.7187 0.2688 O
0.7310 0.7311 0.2814 O
0.7317 0.7319 0.7324 O
0.2683 0.2681 0.2676 O
0.7187 0.2689 0.2687 O
0.2813 0.7311 0.7313 O
0.2690 0.2689 0.7186 O
0.7310 0.2813 0.7312 O
0.8628 0.8628 0.8629 Li
0.1372 0.1372 0.1371 Li
0.5000 0.5000 0.5000 Te
0.0000 0.5000 0.5000 Fe
0.5000 0.0000 0.5000 Fe
0.5000 0.5000 0.0000 Fe
```

=====

D) Li2Fe3TeO8 | PBE+U | optimized geometry

Volume: 11.1 A^3/atom
Symmetry: P6_3mc, No. 186

Cell and atoms, written as POSCAR:
```
Li2Fe3TeO8
1.0
1.1492 4.3097 -4.0550
-2.1979 1.4679 5.4177
9.2074 0.8441 3.5066
Te O Fe Li
2 16 6 4
direct
0.6667 0.3333 0.9848 Te
0.3333 0.6667 0.4848 Te
0.5179 0.0359 0.8451 O
0.0359 0.5179 0.3451 O
0.3280 0.1640 0.0952 O
0.6667 0.3333 0.6092 O
0.1640 0.8360 0.5952 O
0.1640 0.3280 0.5952 O
0.9641 0.4821 0.8451 O
0.8360 0.6720 0.0952 O
0.0000 0.0000 0.3034 O
0.0000 0.0000 0.8034 O
0.4821 0.5179 0.3451 O
0.3333 0.6667 0.1092 O
0.6720 0.8360 0.5952 O
0.5179 0.4821 0.8451 O
0.8360 0.1640 0.0952 O
0.4821 0.9641 0.3451 O
0.8307 0.1693 0.7130 Fe
0.1693 0.8307 0.2130 Fe
0.3385 0.1693 0.7130 Fe
0.6615 0.8307 0.2130 Fe
0.8307 0.6615 0.7130 Fe
0.1693 0.3385 0.2130 Fe
0.0000 0.0000 0.4879 Li
0.3333 0.6667 0.9084 Li
0.0000 0.0000 0.9879 Li
0.6667 0.3333 0.4084 Li
```

=====

Sorted by energy, starting with the most stable: B), A), D), C).

=====

A) Li4FeTe3O12 | PBE+U | optimized geometry

Volume: 10.8 A^3/atom
Symmetry: P1, No. 1

Cell and atoms, written as POSCAR:
```
Li4FeTe3O12
1.0
5.2133 0.0000 0.0000
0.0097 5.4899 0.0000
0.0164 0.5230 7.5376
O Fe Te Li
12 1 3 4
direct
0.3057 0.7928 0.9364 O
0.8747 0.9871 0.7404 O
0.2082 0.3105 0.9290 O
0.1211 0.9734 0.2591 O
0.6946 0.8073 0.4229 O
0.1763 0.6799 0.5647 O
0.6736 0.1878 0.0477 O
0.8047 0.6784 0.0492 O
0.3643 0.4815 0.2485 O
0.8134 0.3079 0.4230 O
0.6389 0.4886 0.7506 O
0.3213 0.1726 0.5647 O
0.0017 0.0169 0.0017 Fe
0.4998 0.5011 0.0010 Te
0.4994 0.4996 0.5043 Te
0.0000 0.0038 0.5018 Te
0.5051 0.0541 0.8065 Li
0.0061 0.5925 0.8100 Li
0.4946 0.0234 0.2470 Li
0.9964 0.5832 0.2626 Li
```

=====

B) Li4FeTe3O12 | PBE+U | optimized geometry

Volume: 11.4 A^3/atom
Symmetry: P2, No. 3

Cell and atoms, written as POSCAR:
```
Li4FeTe3O12
1.0
8.6384 0.0000 0.0000
0.0000 5.0484 0.0000
0.0000 0.0945 5.2269
O Li Te Fe
12 4 3 1
direct
0.2364 0.7655 0.6657 O
0.5721 0.2929 0.3226 O
0.4234 0.2936 0.8380 O
0.7437 0.7352 0.1548 O
0.7437 0.2648 0.8452 O
0.2364 0.2345 0.3343 O
0.0790 0.8007 0.1901 O
0.5721 0.7071 0.6774 O
0.4234 0.7064 0.1620 O
0.0790 0.1993 0.8099 O
0.9123 0.7988 0.6720 O
0.9123 0.2012 0.3280 O
0.8220 0.5000 0.5000 Li
0.2875 0.0000 0.0000 Li
0.7007 0.0000 0.5000 Li
0.1516 0.5000 0.0000 Li
0.3931 0.5000 0.5000 Te
0.5989 0.5000 0.0000 Te
0.0748 0.0000 0.5000 Te
0.8965 0.0000 0.0000 Fe
```

=====

Sorted by energy, starting with the most stable: B), A).

=====

A) Li5Ti2Fe3O10 | PBE+U | optimized geometry

Volume: 9.6 A^3/atom
Symmetry: P1, No. 1

Cell and atoms, written as POSCAR:
```
Li5Ti2Fe3O10
1.0
5.1943 0.0000 0.0000
0.8847 5.1403 0.0000
2.5387 2.1852 7.1733
O Fe Li Ti
10 3 5 2
direct
0.7788 0.8690 0.5441 O
0.2304 0.5680 0.6662 O
0.7649 0.2219 0.7626 O
0.2382 0.7770 0.2489 O
0.7563 0.4234 0.3517 O
0.2248 0.3374 0.0620 O
0.7693 0.0636 0.1523 O
0.2181 0.1326 0.4587 O
0.2336 0.9694 0.8362 O
0.7702 0.6524 0.9309 O
0.4955 0.9946 0.0056 Fe
0.0011 0.3077 0.8956 Fe
0.9975 0.6982 0.1077 Fe
0.4881 0.4039 0.2100 Li
0.4912 0.7749 0.4075 Li
0.9988 0.5056 0.4969 Li
0.5020 0.2158 0.5963 Li
0.5092 0.6016 0.7939 Li
0.0164 0.9026 0.6908 Ti
0.9757 0.1103 0.3108 Ti
```

=====

B) Li5Ti2Fe3O10 | PBE+U | optimized geometry

Volume: 9.5 A^3/atom
Symmetry: P-1, No. 2

Cell and atoms, written as POSCAR:
```
Li5Ti2Fe3O10
1.0
5.1680 0.0000 0.0000
0.9029 5.1600 0.0000
2.5392 2.0130 7.1399
Fe Li O Ti
3 5 10 2
direct
0.9991 0.3126 0.8939 Fe
0.5000 0.0000 0.0000 Fe
0.0009 0.6874 0.1061 Fe
0.4948 0.7799 0.4050 Li
0.0000 0.5000 0.5000 Li
0.5137 0.6004 0.7901 Li
0.5052 0.2201 0.5950 Li
0.4863 0.3996 0.2099 Li
0.2452 0.9512 0.8458 O
0.7815 0.8658 0.5399 O
0.7548 0.0488 0.1542 O
0.7711 0.4231 0.3397 O
0.7472 0.2159 0.7599 O
0.7497 0.6846 0.9330 O
0.2185 0.1342 0.4601 O
0.2528 0.7841 0.2401 O
0.2289 0.5769 0.6603 O
0.2503 0.3154 0.0670 O
0.0218 0.9042 0.6942 Ti
0.9782 0.0958 0.3058 Ti
```

=====

Sorted by energy, starting with the most stable: A), B).